The following is a DFT calculation (PBE) of CsBaMg14 after structural relaxation.

```
CsBaMg14
1.0
11.0925 0.0000 0.0000
0.0000 3.3472 5.8866
0.0000 -3.3472 5.8866
Cs Ba Mg
1 1 14
direct
0.0000 0.0000 0.0000 Cs
0.0000 0.4961 0.4961 Ba
0.0000 0.5035 0.9965 Mg
0.0000 0.9965 0.5035 Mg
0.2600 0.6758 0.6758 Mg
0.2646 0.1785 0.1785 Mg
0.2803 0.1678 0.6638 Mg
0.2803 0.6638 0.1678 Mg
0.5000 0.0006 0.5015 Mg
0.5000 0.0071 0.0071 Mg
0.5000 0.5015 0.0006 Mg
0.5000 0.5076 0.5076 Mg
0.7197 0.1678 0.6638 Mg
0.7197 0.6638 0.1678 Mg
0.7354 0.1785 0.1785 Mg
0.7400 0.6758 0.6758 Mg
```

Results
ρ   2.32 g/cm3
Space group   Amm2, No. 38
Final energy   -1.402 eV/atom